Entry 1:
! GGA-PBE BaO, optimized geometry; values from VASP
! - Total magnetic moment: 0.00 μB/atom
! - Calculated formation energy: -2594 meV per atom
&SYSTEM
  ibrav = 0, nat = 100, ntyp = 2
/
ATOMIC_SPECIES
Ba 137.33 Ba.upf
O 16.00 O.upf
ATOMIC_POSITIONS crystal
Ba 0.000 0.000 0.000
Ba 0.001 0.345 0.339
Ba 0.011 0.859 0.750
Ba 0.057 0.614 0.260
Ba 0.061 0.360 0.608
Ba 0.061 0.872 0.493
Ba 0.096 0.858 0.229
Ba 0.114 0.712 0.970
Ba 0.134 0.272 0.902
Ba 0.138 0.149 0.232
Ba 0.177 0.529 0.756
Ba 0.212 0.603 0.481
Ba 0.234 0.001 0.745
Ba 0.236 0.393 0.091
Ba 0.298 0.885 0.394
Ba 0.317 0.092 0.038
Ba 0.327 0.748 0.686
Ba 0.340 0.351 0.333
Ba 0.341 0.371 0.578
Ba 0.360 0.592 0.973
Ba 0.383 0.351 0.830
Ba 0.385 0.667 0.248
Ba 0.385 0.859 0.902
Ba 0.460 0.091 0.273
Ba 0.462 0.043 0.588
Ba 0.489 0.286 0.100
Ba 0.548 0.861 0.106
Ba 0.549 0.548 0.708
Ba 0.560 0.542 0.437
Ba 0.566 0.079 0.884
Ba 0.585 0.884 0.394
Ba 0.597 0.578 0.086
Ba 0.601 0.775 0.793
Ba 0.609 0.210 0.451
Ba 0.651 0.283 0.670
Ba 0.695 0.109 0.110
Ba 0.697 0.362 0.263
Ba 0.719 0.961 0.658
Ba 0.726 0.363 0.941
Ba 0.774 0.621 0.247
Ba 0.818 0.448 0.518
Ba 0.819 0.860 0.207
Ba 0.829 0.713 0.971
Ba 0.831 0.719 0.484
Ba 0.840 0.052 0.341
Ba 0.858 0.184 0.815
Ba 0.887 0.561 0.756
Ba 0.919 0.230 0.114
Ba 0.963 0.086 0.617
Ba 0.983 0.478 0.024
O 0.001 0.620 0.878
O 0.003 0.822 0.069
O 0.040 0.539 0.626
O 0.058 0.330 0.169
O 0.097 0.986 0.340
O 0.111 0.975 0.619
O 0.112 0.123 0.055
O 0.140 0.572 0.099
O 0.171 0.351 0.445
O 0.198 0.826 0.817
O 0.200 0.340 0.727
O 0.202 0.708 0.313
O 0.226 0.449 0.914
O 0.232 0.765 0.535
O 0.313 0.216 0.215
O 0.339 0.261 0.982
O 0.341 0.038 0.879
O 0.363 0.524 0.661
O 0.374 0.509 0.411
O 0.414 0.006 0.435
O 0.426 0.893 0.707
O 0.436 0.718 0.066
O 0.442 0.463 0.079
O 0.444 0.831 0.283
O 0.457 0.664 0.822
O 0.481 0.235 0.595
O 0.512 0.063 0.081
O 0.526 0.258 0.297
O 0.577 0.897 0.908
O 0.581 0.388 0.804
O 0.608 0.541 0.261
O 0.648 0.023 0.510
O 0.661 0.380 0.472
O 0.680 0.994 0.273
O 0.696 0.297 0.108
O 0.710 0.586 0.577
O 0.711 0.181 0.935
O 0.714 0.744 0.366
O 0.715 0.758 0.115
O 0.717 0.113 0.725
O 0.769 0.692 0.811
O 0.800 0.543 0.058
O 0.857 0.228 0.307
O 0.871 0.306 0.652
O 0.885 0.040 0.149
O 0.896 0.918 0.595
O 0.910 0.506 0.347
O 0.938 0.324 0.936
O 0.954 0.775 0.326
O 0.981 0.028 0.803
CELL_PARAMETERS angstrom
13.185 0.000 0.000
0.818 13.932 0.000
1.222 1.564 14.189

Entry 2:
! GGA-PBE Na2Zr3ZnP4S2O24, optimized geometry; values from VASP
! - Total magnetic moment: 0.00 μB/atom
! - Calculated formation energy: -2789 meV per atom
&SYSTEM
  ibrav = 0, nat = 108, ntyp = 6
/
ATOMIC_SPECIES
Na 22.99 Na.upf
Zr 91.22 Zr.upf
Zn 65.41 Zn.upf
P 30.97 P.upf
S 32.06 S.upf
O 16.00 O.upf
ATOMIC_POSITIONS crystal
Na 0.000 0.000 0.000
Na 0.003 0.000 0.498
Na 0.331 0.334 0.338
Na 0.335 0.338 0.833
Na 0.666 0.670 0.666
Na 0.670 0.670 0.170
Zr 0.327 0.337 0.484
Zr 0.331 0.332 0.190
Zr 0.338 0.338 0.983
Zr 0.657 0.678 0.817
Zr 0.660 0.680 0.023
Zr 0.663 0.680 0.523
Zr 0.674 0.677 0.318
Zr 0.991 0.011 0.151
Zr 0.999 0.004 0.645
Zn 0.333 0.338 0.680
Zn 0.999 0.006 0.355
Zn 0.999 0.995 0.855
P 0.043 0.341 0.588
P 0.043 0.628 0.086
P 0.330 0.049 0.086
P 0.336 0.622 0.588
P 0.368 0.677 0.919
P 0.368 0.963 0.419
P 0.616 0.052 0.588
P 0.622 0.339 0.087
P 0.671 0.963 0.919
P 0.712 0.006 0.255
P 0.959 0.677 0.420
P 0.997 0.292 0.255
S 0.004 0.711 0.754
S 0.284 0.011 0.754
S 0.288 0.716 0.254
S 0.668 0.378 0.419
S 0.707 0.292 0.754
S 0.956 0.377 0.919
O 0.023 0.176 0.594
O 0.024 0.809 0.093
O 0.026 0.793 0.805
O 0.031 0.181 0.308
O 0.119 0.370 0.642
O 0.127 0.515 0.140
O 0.129 0.364 0.925
O 0.138 0.508 0.426
O 0.154 0.307 0.533
O 0.155 0.537 0.747
O 0.155 0.543 0.032
O 0.157 0.318 0.245
O 0.170 0.026 0.093
O 0.172 0.808 0.594
O 0.182 0.031 0.806
O 0.185 0.789 0.305
O 0.190 0.981 0.413
O 0.192 0.838 0.912
O 0.209 0.977 0.702
O 0.211 0.820 0.200
O 0.303 0.160 0.032
O 0.303 0.545 0.533
O 0.310 0.538 0.245
O 0.311 0.160 0.747
O 0.356 0.509 0.926
O 0.360 0.141 0.426
O 0.362 0.130 0.139
O 0.365 0.518 0.642
O 0.461 0.849 0.472
O 0.462 0.696 0.972
O 0.464 0.847 0.760
O 0.466 0.693 0.259
O 0.489 0.874 0.366
O 0.490 0.642 0.866
O 0.493 0.649 0.578
O 0.494 0.867 0.079
O 0.501 0.141 0.926
O 0.508 0.364 0.426
O 0.510 0.367 0.140
O 0.512 0.125 0.642
O 0.528 0.166 0.245
O 0.533 0.316 0.747
O 0.540 0.160 0.533
O 0.540 0.309 0.032
O 0.638 0.489 0.367
O 0.639 0.874 0.866
O 0.644 0.499 0.078
O 0.644 0.866 0.579
O 0.687 0.843 0.258
O 0.691 0.462 0.471
O 0.693 0.470 0.760
O 0.693 0.849 0.972
O 0.790 0.188 0.806
O 0.791 0.035 0.308
O 0.803 0.028 0.594
O 0.804 0.176 0.092
O 0.817 0.214 0.702
O 0.821 0.207 0.414
O 0.821 0.975 0.199
O 0.830 0.983 0.912
O 0.834 0.477 0.259
O 0.842 0.695 0.760
O 0.845 0.695 0.472
O 0.850 0.461 0.971
O 0.859 0.498 0.578
O 0.861 0.646 0.078
O 0.874 0.641 0.366
O 0.875 0.489 0.867
O 0.971 0.822 0.702
O 0.973 0.210 0.199
O 0.974 0.206 0.912
O 0.975 0.837 0.412
CELL_PARAMETERS angstrom
8.887 0.000 0.000
4.438 7.703 0.000
0.020 0.056 23.245

Entry 3:
! GGA-PBE TiZn2O4, optimized geometry; values from VASP
! - Total magnetic moment: 0.00 μB/atom
! - Energy relative to the lowest polymorph listed for this composition: 0 meV per atom
! - Calculated formation energy: -2497 meV per atom
&SYSTEM
  ibrav = 0, nat = 28, ntyp = 3
/
ATOMIC_SPECIES
Ti 47.87 Ti.upf
Zn 65.41 Zn.upf
O 16.00 O.upf
ATOMIC_POSITIONS crystal
Ti 0.000 0.261 0.000
Ti 0.000 0.739 0.500
Ti 0.261 0.000 0.750
Ti 0.739 0.000 0.250
Zn 0.247 0.247 0.375
Zn 0.247 0.753 0.125
Zn 0.255 0.500 0.750
Zn 0.500 0.255 0.000
Zn 0.500 0.745 0.500
Zn 0.745 0.500 0.250
Zn 0.753 0.247 0.625
Zn 0.753 0.753 0.875
O 0.014 0.234 0.768
O 0.014 0.766 0.732
O 0.234 0.014 0.982
O 0.234 0.474 0.001
O 0.234 0.526 0.499
O 0.234 0.986 0.518
O 0.474 0.234 0.749
O 0.474 0.766 0.751
O 0.526 0.234 0.251
O 0.526 0.766 0.249
O 0.766 0.014 0.018
O 0.766 0.474 0.999
O 0.766 0.526 0.501
O 0.766 0.986 0.482
O 0.986 0.234 0.232
O 0.986 0.766 0.268
CELL_PARAMETERS angstrom
6.076 0.000 0.000
0.000 6.076 0.000
0.000 0.000 8.516

Entry 4:
! GGA-PBE NaSrMg6, optimized geometry; values from VASP
! - Total magnetic moment: 0.00 μB/atom
! - Calculated formation energy: 93 meV per atom
&SYSTEM
  ibrav = 0, nat = 16, ntyp = 3
/
ATOMIC_SPECIES
Mg 24.30 Mg.upf
Na 22.99 Na.upf
Sr 87.62 Sr.upf
ATOMIC_POSITIONS crystal
Mg 0.000 0.000 0.334
Mg 0.500 0.746 0.422
Mg 0.000 0.744 0.569
Mg 0.000 0.244 0.069
Mg 0.000 0.000 0.843
Mg 0.000 0.500 0.343
Mg 0.500 0.254 0.422
Mg 0.000 0.756 0.069
Mg 0.500 0.754 0.922
Mg 0.500 0.246 0.922
Mg 0.000 0.256 0.569
Mg 0.000 0.500 0.834
Na 0.500 0.500 0.669
Na 0.500 0.000 0.169
Sr 0.500 0.500 0.173
Sr 0.500 0.000 0.673
CELL_PARAMETERS angstrom
5.421 0.000 0.000
0.000 6.647 0.000
0.000 0.000 12.349

Number 4 is which compound? NaSrMg6